Model a:
Entry from the Materials Project database: a relaxed MgBi8P8O32 crystal (PBE-GGA).

Geometry as POSCAR:
```
MgBi8P8O32
1.0
5.489 0.119 0.802
2.965 9.490 0.279
-0.517 -0.758 16.877
P O Bi Mg
8 32 8 1
direct
0.227 0.619 0.411
0.288 0.875 0.100
0.718 0.356 0.605
0.476 0.009 0.623
0.995 0.500 0.868
0.572 0.017 0.365
0.940 0.514 0.115
0.732 0.141 0.912
0.703 0.527 0.884
0.244 0.675 0.327
0.151 0.348 0.895
0.312 0.816 0.183
0.084 0.498 0.777
0.742 0.191 0.827
0.808 0.534 0.200
0.759 0.265 0.525
0.030 0.538 0.428
0.342 0.166 0.606
0.835 0.015 0.388
0.118 0.753 0.475
0.219 0.407 0.100
0.748 0.264 0.678
0.923 0.432 0.601
0.325 0.908 0.605
0.438 0.464 0.613
0.585 0.267 0.976
0.007 0.938 0.086
0.486 0.515 0.430
0.800 0.447 0.057
0.740 0.946 0.567
0.361 0.160 0.398
0.431 0.988 0.084
0.067 0.616 0.915
0.558 0.044 0.923
0.444 0.754 0.032
0.589 0.982 0.275
0.959 0.661 0.087
0.530 0.004 0.712
0.479 0.895 0.406
0.003 0.069 0.933
0.426 0.230 0.752
0.076 0.988 0.487
0.572 0.748 0.273
0.202 0.206 0.006
0.339 0.341 0.487
0.747 0.709 0.545
0.447 0.518 0.996
0.808 0.835 0.004
0.070 0.556 0.667
```

=====

Model b:
Entry from the Materials Project database: a relaxed MgBi8P8O32 crystal (PBE-GGA).

Geometry as POSCAR:
```
MgBi8P8O32
1.0
-5.069 -2.063 -1.453
-1.051 -7.860 5.070
-10.155 8.488 10.783
O Bi P Mg
32 8 8 1
direct
0.717 0.201 0.819
0.513 0.520 0.414
0.195 0.408 0.106
0.654 0.812 0.390
0.838 0.645 0.101
0.807 0.505 0.222
0.377 0.076 0.437
0.773 0.248 0.523
0.287 0.689 0.315
0.474 0.478 0.586
0.431 0.021 0.092
0.294 0.800 0.160
0.494 0.004 0.709
0.787 0.385 0.087
0.190 0.749 0.469
0.027 0.981 0.077
0.524 0.049 0.922
0.059 0.540 0.413
0.189 0.578 0.935
0.844 0.030 0.395
0.675 0.913 0.563
0.147 0.324 0.888
0.948 0.077 0.926
0.429 0.795 0.009
0.557 0.293 0.968
0.774 0.558 0.913
0.585 0.999 0.290
0.943 0.449 0.572
0.136 0.526 0.794
0.234 0.913 0.621
0.335 0.164 0.605
0.729 0.305 0.674
0.409 0.246 0.755
0.825 0.842 0.958
0.600 0.756 0.232
0.474 0.526 0.022
0.354 0.316 0.501
0.680 0.662 0.487
0.154 0.184 0.022
0.018 0.993 0.503
0.295 0.899 0.087
0.911 0.486 0.132
0.261 0.627 0.398
0.733 0.370 0.593
0.060 0.494 0.885
0.691 0.160 0.908
0.431 0.996 0.625
0.618 0.983 0.375
0.017 0.743 0.783
```

=====

So which one wins? Going from most stable to least: model a, model b.

=====

Model a:
Entry from the Materials Project database: a relaxed PrMgBi2O6 crystal (PBE-GGA).

Geometry as POSCAR:
```
PrMgBi2O6
1.0
-0.302 -5.066 -2.888
2.517 0.129 5.414
-2.815 -2.406 4.515
Mg Bi O Pr
1 2 6 1
direct
0.000 0.000 0.000
0.250 0.500 0.250
0.750 0.500 0.750
0.667 0.000 0.869
0.234 0.469 0.766
0.131 0.000 0.667
0.766 0.531 0.234
0.869 0.000 0.333
0.333 0.000 0.131
0.500 0.000 0.500
```

=====

Model b:
Entry from the Materials Project database: a relaxed PrMgBi2O6 crystal (PBE-GGA).

Geometry as POSCAR:
```
PrMgBi2O6
1.0
-1.651 1.682 -5.487
-5.741 -0.303 -1.615
-3.156 5.012 -0.764
O Bi Pr Mg
6 2 1 1
direct
0.233 0.767 0.767
0.767 0.233 0.233
0.767 0.767 0.233
0.233 0.233 0.767
0.233 0.767 0.233
0.767 0.233 0.767
0.250 0.250 0.250
0.750 0.750 0.750
0.500 0.500 0.500
0.000 0.000 0.000
```

=====

Model c:
Entry from the Materials Project database: a relaxed PrMgBi2O6 crystal (PBE-GGA).

Geometry as POSCAR:
```
PrMgBi2O6
1.0
-1.001 5.390 1.981
-5.886 -1.356 0.717
1.580 -2.640 7.978
O Pr Bi Mg
12 2 4 2
direct
0.137 0.145 0.500
0.828 0.574 0.669
0.328 0.426 0.831
0.828 0.574 0.331
0.637 0.855 0.000
0.344 0.676 0.500
0.667 0.079 0.316
0.167 0.921 0.816
0.667 0.079 0.684
0.167 0.921 0.184
0.328 0.426 0.169
0.844 0.324 0.000
0.011 0.685 0.000
0.511 0.315 0.500
0.004 0.237 0.251
0.004 0.237 0.749
0.504 0.763 0.751
0.504 0.763 0.249
0.510 0.248 0.000
0.010 0.752 0.500
```

=====

Model d:
Entry from the Materials Project database: a relaxed PrMgBi2O6 crystal (PBE-GGA).

Geometry as POSCAR:
```
PrMgBi2O6
1.0
8.437 0.000 0.000
0.000 8.437 0.000
0.000 0.000 8.437
Bi O Mg Pr
8 24 4 4
direct
0.500 0.000 0.500
0.000 0.500 0.000
0.500 0.000 0.000
0.000 0.000 0.500
0.500 0.500 0.500
0.000 0.500 0.500
0.500 0.500 0.000
0.000 0.000 0.000
0.678 0.516 0.800
0.822 0.984 0.700
0.178 0.984 0.300
0.300 0.178 0.984
0.984 0.700 0.822
0.016 0.700 0.178
0.984 0.300 0.178
0.200 0.322 0.516
0.700 0.822 0.984
0.178 0.016 0.700
0.300 0.822 0.016
0.484 0.200 0.678
0.700 0.178 0.016
0.516 0.800 0.678
0.678 0.484 0.200
0.800 0.322 0.484
0.516 0.200 0.322
0.322 0.516 0.200
0.322 0.484 0.800
0.822 0.016 0.300
0.800 0.678 0.516
0.484 0.800 0.322
0.200 0.678 0.484
0.016 0.300 0.822
0.250 0.750 0.250
0.750 0.750 0.750
0.750 0.250 0.250
0.250 0.250 0.750
0.750 0.250 0.750
0.750 0.750 0.250
0.250 0.250 0.250
0.250 0.750 0.750
```

=====

So which one wins? Going from most stable to least: model c, model d, model a, model b.